MnTlI3 after structural relaxation, computed with PBE.

Geometry as POSCAR:
```
MnTlI3
1.0
10.240 0.000 0.000
0.000 4.323 0.000
0.000 0.000 16.431
Mn Tl I
4 4 12
Direct
0.162 0.250 0.056 Mn
0.338 0.750 0.556 Mn
0.662 0.250 0.444 Mn
0.838 0.750 0.944 Mn
0.056 0.750 0.325 Tl
0.444 0.250 0.825 Tl
0.556 0.750 0.175 Tl
0.944 0.250 0.675 Tl
0.020 0.250 0.898 I
0.173 0.250 0.494 I
0.220 0.750 0.710 I
0.280 0.250 0.210 I
0.327 0.750 0.994 I
0.480 0.750 0.398 I
0.520 0.250 0.602 I
0.673 0.250 0.006 I
0.720 0.750 0.790 I
0.780 0.250 0.290 I
0.827 0.750 0.506 I
0.980 0.750 0.102 I
```

Calculated values
Energy of formation (meV per atom): -755
Space group: Pnma (62)
Electronic total energy (eV per atom): -3.747